Record 1
Computed, not measured: LiFeC2O6 after structural relaxation at the GGA+U level of DFT.

```
LiFeC2O6
1.0
2.3495 -5.2766 0.0015
4.6986 4.2298 3.9318
-4.6987 -2.0932 7.8666
O Fe Li C
24 4 4 8
Cartesian
-0.7102 1.2477 9.8771
3.0594 -4.3870 1.9235
1.0541 -4.6483 2.9017
-1.7660 -0.7342 8.0224
3.6437 2.5537 4.9647
0.7102 -1.2050 9.7873
2.9346 -0.7359 8.0208
5.2838 0.3107 4.0877
4.1133 -2.4048 3.7786
1.6395 -1.9359 2.0117
1.2943 1.5070 8.8980
-1.0539 -3.7678 8.9003
3.4042 0.6286 2.8996
1.0549 -0.4179 6.8327
1.6392 2.2944 5.9439
3.0597 -0.1583 5.8539
-1.2953 -5.6948 6.8350
1.2955 -2.7212 4.9668
0.5835 0.3124 4.0889
-2.9327 -3.4519 7.7115
-0.5834 -2.4051 3.7782
1.7640 -3.4514 7.7118
-0.7099 -2.9825 5.9449
0.7101 -5.4336 5.8570
4.6981 1.0683 5.8993
0.0008 1.0687 5.8996
2.3488 0.0221 9.8329
-2.3482 0.0213 9.8319
0.0002 -2.0938 7.8664
2.3493 -5.2761 0.0016
0.0000 -6.3227 3.9349
2.3496 -1.0472 3.9331
-2.3482 -3.7604 8.8274
2.3488 2.5625 4.8920
0.0002 -1.4736 10.8389
0.0011 -2.7138 4.8941
-0.0006 -5.7020 6.9078
2.3496 -0.4270 6.9055
2.3488 -4.6555 2.9746
-0.0006 1.5159 8.8253
```

Output
- theoretical density (g/cm3) = 3.11
- polymorph energy (0 for the lowest one) (eV/atom) = 0.000

***

Record 2
Computed, not measured: Li5FeC4O12 after structural relaxation at the GGA+U level of DFT.

```
Li5FeC4O12
1.0
11.0615 0.0000 0.0000
0.0000 9.6554 0.0000
-0.1436 0.0000 8.4407
Li Fe C O
20 4 16 48
Cartesian
0.7176 1.2861 0.5409
0.6458 3.5416 4.7612
1.4097 6.1760 0.5714
1.3379 8.3071 4.7917
2.2689 1.0157 5.8940
2.3407 3.8120 1.6737
3.6587 1.5741 0.2845
3.5869 3.2536 4.5048
4.4709 5.7714 0.5740
4.3991 8.7117 4.7943
6.5188 0.9437 3.6463
6.4470 3.8840 7.8667
7.3310 6.4018 3.9359
7.2592 8.0813 8.1562
8.5772 5.8434 6.7670
8.6490 8.6397 2.5467
9.5799 1.3483 3.6490
9.5081 3.4794 7.8693
10.2721 6.1138 3.6794
10.2003 8.3693 7.8998
3.0217 5.8432 6.0504
3.0935 8.6399 1.8301
7.8244 1.0155 6.6106
7.8962 3.8122 2.3902
0.1497 5.9448 6.3614
0.2215 8.5383 2.1410
2.2364 1.2966 3.0494
2.1646 3.5311 7.2697
3.1314 6.0947 3.1622
3.0596 8.3884 7.3825
5.3269 1.4107 6.0693
5.3987 3.4170 1.8489
5.5191 6.2384 6.5918
5.5909 8.2447 2.3714
7.8582 1.2670 1.0582
7.7864 3.5607 5.2785
8.7533 6.1243 1.1710
8.6815 8.3587 5.3913
10.6964 1.1171 6.2997
10.7682 3.7106 2.0793
-0.0357 1.7205 5.2211
0.0361 3.1072 1.0007
0.2405 0.0730 6.7338
0.3123 4.7547 2.5135
1.1579 6.4318 5.6165
1.2297 8.0513 1.3962
2.0501 2.2871 7.5789
2.1219 2.5406 3.3585
2.1998 0.3340 3.8876
2.1280 4.4937 8.1079
2.4281 0.9669 1.7800
2.3563 3.8607 6.0004
3.0040 5.7046 1.9519
2.9322 8.7785 6.1722
2.9699 7.1244 7.6927
3.0417 7.3587 3.4723
3.3525 5.2364 4.1132
3.2807 9.2467 8.3336
4.2144 1.7080 5.5287
4.2862 3.1197 1.3084
4.8095 5.2099 7.0423
4.8813 9.2731 2.8219
4.9741 6.8919 5.6176
5.0459 7.5912 1.3972
5.8720 2.0642 7.0434
5.9438 2.7635 2.8231
6.0366 0.3822 5.6187
6.1084 4.4454 1.3984
6.6317 6.5357 7.1323
6.7035 7.9474 2.9120
7.6372 0.4087 0.1071
7.5654 4.4190 4.3274
7.8762 2.2967 4.9683
7.9480 2.5310 0.7480
7.9857 0.8769 2.2685
7.9139 3.9508 6.4888
8.5615 5.7946 2.4403
8.4897 8.6884 6.6607
8.7899 5.1617 0.3328
8.7181 9.3214 4.5531
8.7960 7.1148 5.0821
8.8678 7.3683 0.8618
9.6882 1.6041 7.0445
9.7600 3.2236 2.8242
10.6056 4.9007 5.9272
10.6774 9.5824 1.7069
10.8818 6.5482 7.4400
10.9536 7.9349 3.2196
```

Output
- theoretical density (g/cm3) = 2.44
- total moment (μB/f.u.) = 5.00

***

Record 3
Computed, not measured: LiFeC2O6 after structural relaxation at the GGA+U level of DFT.

```
LiFeC2O6
1.0
7.3355 0.0000 0.0000
0.0000 9.9918 0.0000
-4.9015 0.0000 7.6708
Li Fe C O
4 4 8 24
Cartesian
0.3511 1.1061 1.2624
-2.0997 3.8898 5.0978
4.5336 6.1020 2.5730
2.0828 8.8857 6.4084
-0.2629 6.4551 0.5732
-2.7137 8.5326 4.4086
5.1476 1.4592 3.2622
2.6969 3.5367 7.0976
-3.5738 1.1087 5.9552
-1.1231 3.8872 2.1198
-0.1616 0.0893 4.9137
2.2892 4.9066 1.0783
0.1448 5.0852 6.5925
2.5955 9.9025 2.7571
3.5570 6.1046 5.5510
6.0078 8.8831 1.7156
-4.2725 1.5994 6.9481
-1.8217 3.3965 3.1127
-1.0425 5.1683 2.0205
-3.4933 9.8194 5.8559
-3.0114 1.9303 5.1339
-0.5606 3.0656 1.2985
-0.5520 1.1353 4.2261
1.8988 3.8606 0.3907
1.4834 5.9537 1.1289
-0.9674 9.0340 4.9643
-0.9563 5.0741 5.9988
1.4944 9.9136 2.1634
0.9395 0.0782 5.5074
3.3903 4.9177 1.6720
3.4013 0.9578 2.7065
0.9505 4.0381 6.5419
0.5352 6.1312 7.2801
2.9859 8.8565 3.4447
2.9946 6.9263 6.3723
5.4453 8.0615 2.5369
5.9272 0.1724 1.8149
3.4764 4.8235 5.6503
4.2557 6.5953 4.5581
6.7064 8.3924 0.7227
```

Output
- theoretical density (g/cm3) = 2.16
- total moment (μB/f.u.) = 5.00
- polymorph energy (0 for the lowest one) (eV/atom) = 0.078

***

Record 4
Computed, not measured: LiFe2C2O7 after structural relaxation at the GGA+U level of DFT.

```
LiFe2C2O7
1.0
4.8720 0.0000 0.0000
-2.4360 4.2193 0.0000
0.0000 0.0000 15.9662
Li Fe C O
2 4 4 14
Cartesian
0.0000 0.0000 0.0000
0.0000 0.0000 7.9831
0.0000 2.8129 2.3311
0.0000 2.8129 6.0146
2.4360 1.4064 10.3142
2.4360 1.4064 13.9977
0.0000 2.8129 9.5524
0.0000 2.8129 14.8387
2.4360 1.4064 1.5693
2.4360 1.4064 6.8556
-0.5841 1.6652 14.8161
-1.2617 2.8791 9.5411
-0.7019 3.8925 14.8161
0.5734 1.6871 9.5411
0.0000 2.8129 4.0733
1.7341 0.3267 6.8330
1.1743 1.3402 1.5580
0.6882 3.8724 9.5411
1.2860 2.8808 14.8161
2.4360 1.4064 12.0564
3.1242 0.3469 1.5580
1.8519 2.5541 6.8330
3.0094 2.5322 1.5580
3.7220 1.3384 6.8330
```

Output
- theoretical density (g/cm3) = 2.58
- total moment (μB/f.u.) = 9.00
- polymorph energy (0 for the lowest one) (eV/atom) = 0.009

***

Record 5
Computed, not measured: Li2Fe2C3O9 after structural relaxation at the GGA+U level of DFT.

```
Li2Fe2C3O9
1.0
5.6507 -0.2452 2.3182
-0.9032 5.5212 -2.4625
-3.3913 3.2850 8.6115
O C Fe Li
18 6 4 4
Cartesian
-0.2212 3.5589 6.9554
-0.0181 3.2294 1.5606
1.3272 4.4267 10.0328
1.2480 5.7367 8.2185
-2.2586 2.7803 6.4499
-0.5629 1.1376 2.1442
-1.7137 4.8718 5.8663
1.0398 5.7692 2.5239
3.8619 3.2045 1.5821
2.1661 4.8471 5.8876
2.9435 4.0942 3.9125
-1.0970 6.4091 2.7222
-0.6558 7.4116 6.8296
3.0225 2.7843 5.7269
1.9576 4.8798 0.1925
-2.7925 8.0513 7.0280
1.4746 1.9164 2.6486
0.2620 6.5223 4.4984
0.0641 6.2362 3.2455
2.7136 3.9051 5.1781
-1.3672 3.7709 6.4228
-1.6311 7.8785 7.5513
0.3284 2.1282 2.1169
4.4094 2.2624 0.8726
3.5881 2.0789 3.4202
1.8930 3.7220 7.7259
-1.7962 6.9672 5.0347
-0.1000 5.3245 0.7289
2.0940 4.0902 2.0634
2.5521 6.3625 4.1764
0.8564 8.0051 8.4819
0.3982 5.7328 6.3690
```

Output
- theoretical density (g/cm3) = 2.93
- maximum piezoelectric response (C/m²) = 1.42
- total moment (μB/f.u.) = 0.00
- polymorph energy (0 for the lowest one) (eV/atom) = 0.023

***

Record 6
Computed, not measured: LiFe2C4O12 after structural relaxation at the GGA+U level of DFT.

```
LiFe2C4O12
1.0
5.4547 0.0000 0.0000
0.9473 9.9240 0.0000
0.9155 2.1128 9.7587
Li Fe C O
2 4 8 24
Cartesian
0.0000 0.0000 0.0000
3.6315 6.0501 4.8897
0.8945 4.1394 3.2114
2.7431 5.3847 7.9176
4.6348 10.1407 8.0743
5.5043 9.3047 3.0142
1.4835 4.4579 0.2752
1.8855 4.0941 5.9860
3.7926 8.0472 7.2178
3.5939 2.6191 8.7516
4.6344 7.9931 1.1220
5.1702 10.4373 5.1365
5.5535 2.0355 2.3530
6.3138 6.5538 3.8515
1.4607 6.0352 9.2889
1.1888 4.5425 7.0029
1.3337 3.4608 5.0308
1.2286 4.9875 1.3980
1.3486 2.3573 2.2935
1.9648 5.8766 3.8564
3.0068 8.9502 7.7088
3.4707 11.7941 8.6383
3.3466 6.9088 6.7502
3.5707 6.5034 9.5037
3.1519 4.3699 6.0557
3.5375 3.8849 8.8913
3.9111 8.4415 2.0968
4.2231 9.8942 4.4272
4.1669 7.3400 0.1348
4.9790 10.9695 6.2710
5.0514 8.3275 7.1940
4.7212 1.9801 8.7195
4.7543 2.9068 2.8828
5.2201 5.8492 3.7081
5.1450 0.8953 1.8585
6.3296 10.3869 4.5585
5.9078 8.2814 1.2383
6.3339 7.8191 4.0063
```

Output
- theoretical density (g/cm3) = 2.25
- total moment (μB/f.u.) = 0.02
- polymorph energy (0 for the lowest one) (eV/atom) = 0.008

***

Record 7
Computed, not measured: LiFe2C4O12 after structural relaxation at the GGA+U level of DFT.

```
LiFe2C4O12
1.0
6.9770 0.0000 0.0000
-0.1624 7.6778 0.0000
-3.0270 -0.3160 9.5354
Li Fe C O
2 4 8 24
Cartesian
0.0000 0.0000 0.0000
1.9610 -0.1525 4.7733
-0.6869 4.2805 1.9023
-2.0428 0.2658 6.5050
1.2864 4.1230 6.6696
2.9603 0.4239 1.7402
-1.0546 5.9215 7.1633
0.5178 6.3297 2.5207
1.6164 2.4097 1.3110
0.1657 2.0833 6.0361
3.9489 6.0795 2.3941
2.4911 6.1719 7.2876
3.5898 2.2519 6.0773
5.1681 2.2408 1.2680
-1.6886 6.0793 6.0288
-0.0696 6.2392 1.3524
0.9874 3.4819 1.0859
-0.3629 0.9575 5.6714
-1.1543 6.9400 7.9712
0.3942 5.3081 3.2967
1.5060 1.3335 0.5626
0.2056 3.1060 5.2487
-0.4044 4.8759 7.4536
1.1842 7.3743 2.8826
0.7385 2.2325 7.1939
2.4667 2.2790 2.2910
3.3128 6.2375 1.2613
1.9022 6.0820 6.1199
2.9607 3.3240 5.8530
4.6378 1.1168 0.9032
3.8527 7.0977 3.2020
2.3690 5.1495 8.0631
3.4786 1.1756 5.3290
5.2098 3.2639 0.4811
4.5980 5.0325 2.6837
3.1575 7.2165 7.6492
5.7411 2.3903 2.4259
4.4418 2.1209 7.0564
```

Output
- theoretical density (g/cm3) = 2.33
- total moment (μB/f.u.) = 0.00
- polymorph energy (0 for the lowest one) (eV/atom) = 0.016

***

Record 8
Computed, not measured: Li2Fe2C3O9 after structural relaxation at the GGA+U level of DFT.

```
Li2Fe2C3O9
1.0
3.5380 -4.9010 0.0000
3.5380 4.9010 0.0000
-0.0069 0.0000 10.0886
Li Fe C O
4 4 6 18
Cartesian
3.5380 2.9317 0.0000
3.5360 2.9324 4.9647
3.5380 -2.9317 0.0000
3.5360 -2.9324 4.9647
0.0748 0.0000 7.5313
4.7576 0.0000 9.9957
4.7637 0.0000 5.0582
7.0376 0.0000 2.4835
2.2471 0.0000 5.0020
2.2417 0.0000 10.0464
5.2880 2.0013 2.4813
5.3466 1.9766 7.5264
5.2880 -2.0013 2.4813
5.3466 -1.9766 7.5264
0.9475 0.0000 5.0094
0.9422 0.0000 10.0345
2.9399 1.0954 10.0507
2.9452 1.0959 4.9994
4.6561 3.0930 2.4802
4.7111 3.0620 7.5253
2.9399 -1.0954 10.0507
2.9452 -1.0959 4.9994
5.6606 1.3921 1.3735
5.6594 1.3921 3.5893
5.7269 1.3691 6.4184
5.7244 1.3691 8.6353
5.6606 -1.3921 1.3735
5.6594 -1.3921 3.5893
5.7269 -1.3690 6.4184
5.7244 -1.3691 8.6353
4.6561 -3.0930 2.4802
4.7111 -3.0620 7.5253
```

Output
- theoretical density (g/cm3) = 2.90
- total moment (μB/f.u.) = 4.00
- polymorph energy (0 for the lowest one) (eV/atom) = 0.038

***

Record 9
Computed, not measured: LiFe2C3O9 after structural relaxation at the GGA+U level of DFT.

```
LiFe2C3O9
1.0
7.5185 0.0000 0.0000
-2.2920 7.2533 0.0000
-2.2071 -3.5844 6.3787
Li Fe C O
2 4 6 18
Cartesian
0.0000 0.0000 0.0000
1.0629 -1.9019 6.1326
-2.1274 3.9732 3.6844
0.1385 3.4221 1.1540
2.6986 5.7228 1.9688
3.9206 0.7652 4.3670
-1.4289 -1.2143 4.7409
-1.7541 2.4615 6.1380
0.2545 5.2401 3.5470
2.5891 2.7235 2.4686
4.9059 4.4419 0.5555
5.7259 1.2922 1.9806
-2.0871 1.8517 3.0991
-1.2360 -1.0139 3.4814
-1.7502 4.2243 1.5165
-0.7159 1.5807 1.3043
-2.0613 -0.3185 5.4537
-2.9960 2.2468 5.8398
-0.9903 -2.2885 5.2955
-1.0654 3.3394 5.5437
1.0001 5.3093 0.7320
1.5049 -1.6311 4.1496
0.3058 4.0207 3.0609
1.9978 2.6867 1.2819
2.5596 1.7158 3.2163
3.5854 -1.2293 3.4115
2.6211 0.0867 5.9362
4.9213 0.4024 1.4705
3.2103 3.8329 2.7847
4.1422 5.5107 0.6476
```

Output
- theoretical density (g/cm3) = 2.85
- total moment (μB/f.u.) = 9.00
- polymorph energy (0 for the lowest one) (eV/atom) = 0.000

***

| no. | energy (eV per atom) | energy of formation from the pure elements (eV/atom) |
| --- | --- | --- |
| 1 | -7.13 | -1.915 |
| 2 | -6.76 | -2.044 |
| 3 | -7.05 | -1.837 |
| 4 | -6.99 | -1.775 |
| 5 | -7.00 | -1.862 |
| 6 | -7.09 | -1.702 |
| 7 | -7.08 | -1.694 |
| 8 | -6.99 | -1.847 |
| 9 | -7.16 | -1.804 |